Record 1
The following is a PBE calculation of crystalline KLiZnP2O7 at its relaxed geometry, from the Materials Project.

Structure (POSCAR):
```
KLiZnP2O7
1.0
2.313 -4.224 -1.823
4.342 -1.640 9.312
-9.969 -6.850 3.222
K Li Zn P O
4 4 4 8 28
Direct
0.997 0.757 0.005
0.003 0.257 0.005
0.502 0.977 0.506
0.498 0.477 0.506
0.974 0.969 0.249
0.026 0.469 0.249
0.950 0.963 0.750
0.050 0.463 0.750
0.457 0.769 0.750
0.543 0.269 0.750
0.471 0.761 0.249
0.529 0.261 0.249
0.506 0.510 0.115
0.494 0.010 0.115
0.989 0.716 0.384
0.011 0.216 0.384
0.561 0.524 0.880
0.439 0.024 0.880
0.955 0.707 0.619
0.045 0.207 0.619
0.057 0.767 0.506
0.943 0.267 0.506
0.135 0.814 0.314
0.865 0.314 0.314
0.418 0.444 0.793
0.582 0.944 0.793
0.353 0.408 0.178
0.647 0.908 0.178
0.025 0.566 0.622
0.975 0.066 0.622
0.661 0.734 0.621
0.339 0.234 0.621
0.087 0.580 0.371
0.913 0.080 0.371
0.093 0.791 0.705
0.907 0.291 0.705
0.447 0.467 0.991
0.553 0.967 0.991
0.470 0.666 0.878
0.530 0.166 0.878
0.379 0.644 0.131
0.621 0.144 0.131
0.692 0.732 0.374
0.308 0.232 0.374
0.795 0.509 0.133
0.205 0.009 0.133
0.852 0.507 0.877
0.148 0.007 0.877
```

Values from the calculation:
- Space-group type: Pc (7)


Record 2
The following is a PBE calculation of crystalline K2Li14Pb3O14 at its relaxed geometry, from the Materials Project.

Structure (POSCAR):
```
K2Li14Pb3O14
1.0
4.323 1.916 7.052
-5.776 -2.141 5.843
3.230 -4.753 -6.250
K Li Pb O
2 14 3 14
Direct
0.500 0.247 0.747
0.500 0.753 0.253
0.842 0.500 0.342
0.158 0.500 0.658
0.417 0.771 0.645
0.583 0.229 0.355
0.874 0.229 0.645
0.126 0.771 0.355
0.710 0.593 0.572
0.290 0.862 0.883
0.979 0.407 0.117
0.021 0.138 0.428
0.290 0.407 0.428
0.710 0.138 0.117
0.021 0.593 0.883
0.979 0.862 0.572
0.727 0.727 0.000
0.273 0.273 0.000
0.000 0.000 0.000
0.748 0.041 0.292
0.252 0.544 0.292
0.252 0.959 0.708
0.748 0.456 0.708
0.000 0.704 0.704
0.000 0.296 0.296
0.687 0.873 0.814
0.313 0.127 0.186
0.942 0.127 0.814
0.058 0.873 0.186
0.411 0.628 0.783
0.589 0.372 0.217
0.156 0.372 0.783
0.844 0.628 0.217
```

Values from the calculation:
- Space-group type: Immm (71)


Record 3
The following is a PBE calculation of crystalline KLi2Ru6O12 at its relaxed geometry, from the Materials Project.

Structure (POSCAR):
```
KLi2Ru6O12
1.0
0.000 0.000 -2.782
-9.631 -0.002 0.000
-4.813 8.341 0.000
K Li Ru O
1 2 6 12
Direct
0.750 0.000 0.000
0.750 0.333 0.333
0.250 0.667 0.667
0.750 0.343 0.640
0.750 0.017 0.343
0.750 0.640 0.017
0.250 0.657 0.360
0.250 0.984 0.657
0.250 0.360 0.984
0.750 0.588 0.545
0.750 0.867 0.588
0.750 0.545 0.867
0.250 0.413 0.455
0.250 0.132 0.413
0.250 0.455 0.132
0.750 0.113 0.693
0.750 0.195 0.113
0.750 0.693 0.195
0.250 0.892 0.299
0.250 0.809 0.892
0.250 0.299 0.809
```

Values from the calculation:
- Space-group type: P-6 (174)


Record 4
The following is a PBE calculation of crystalline KLiSO4 at its relaxed geometry, from the Materials Project.

Structure (POSCAR):
```
KLiSO4
1.0
-4.820 1.844 -0.744
1.337 -4.655 -1.930
-2.630 -3.857 7.481
K Li S O
2 2 2 8
Direct
0.000 0.000 0.990
0.000 0.000 0.490
0.333 0.667 0.803
0.667 0.333 0.303
0.333 0.667 0.192
0.667 0.333 0.692
0.601 0.660 0.247
0.660 0.060 0.747
0.333 0.667 0.023
0.060 0.399 0.247
0.667 0.333 0.523
0.340 0.940 0.247
0.399 0.340 0.747
0.940 0.601 0.747
```

Values from the calculation:
- Space-group type: P6_3 (173)


Number 1: ΔH_f (0 K) -2.61 eV/atom, magnetic moment 0.0 μB per formula unit. Number 2: ΔH_f (0 K) -1.91 eV/atom, magnetic moment 0.0 μB per formula unit. Number 3: ΔH_f (0 K) -1.52 eV/atom, magnetic moment 0.0 μB per formula unit. Number 4: ΔH_f (0 K) -2.31 eV/atom, magnetic moment 0.0 μB per formula unit.